The following is a DFT calculation (GGA+U) of a relaxed Nd4Ni3O10 crystal.

SG	P2_1/c
total energy	-6.864	eV/atom
ΔE to the lowest computed polymorph	0.000	eV/atom
energy of formation	-2.6637	eV per atom

Cell lengths 5.4456, 5.5267, 27.6973 Å; angles 90.00, 90.64, 90.00 degrees
With the nearest neighbours (Å) after each atom.
Fractional positions:
Nd  0.4885  0.5158  0.3000  5 O 2.32-2.57
Nd  0.9885  0.9842  0.3000  5 O 2.32-2.57
Nd  0.0115  0.0158  0.7000  5 O 2.32-2.57
Nd  0.5443  0.9929  0.9316  6 O 2.36-2.61
Nd  0.5015  0.0161  0.1998  5 O 2.32-2.58
Nd  0.5115  0.4842  0.7000  5 O 2.32-2.57
Nd  0.0015  0.4839  0.1998  5 O 2.32-2.58
Nd  0.5418  0.5072  0.4315  6 O 2.36-2.60
Nd  0.9557  0.4929  0.0684  6 O 2.36-2.61
Nd  0.9582  0.0072  0.5685  6 O 2.36-2.60
Nd  0.0418  0.9928  0.4315  6 O 2.36-2.60
Nd  0.4557  0.0071  0.0684  6 O 2.36-2.61
Nd  0.4582  0.4928  0.5685  6 O 2.36-2.60
Nd  0.9985  0.5161  0.8002  5 O 2.32-2.58
Nd  0.4985  0.9839  0.8002  5 O 2.32-2.58
Nd  0.0443  0.5071  0.9316  6 O 2.36-2.61
O  0.7488  0.7412  0.1518  2 Ni 1.95
O  0.4888  0.4173  0.9317  2 Ni 1.95-2.04
O  0.2512  0.2588  0.8482  2 Ni 1.95
O  0.2303  0.2365  0.6312  2 Ni 1.97-1.98
O  0.9905  0.4384  0.7178  1 Ni 2.18, 2 Nd 2.32-2.39
O  0.4850  0.0826  0.4316  2 Ni 1.95-2.03
O  0.2927  0.7121  0.4873  2 Ni 1.98-2.01
O  0.7416  0.2624  0.3481  2 Ni 1.95
O  0.2728  0.7605  0.8687  2 Ni 1.97
O  0.2488  0.7588  0.1518  2 Ni 1.95
O  0.7697  0.7635  0.3688  2 Ni 1.97-1.98
O  0.4851  0.4385  0.2176  1 Ni 2.18, 2 Nd 2.32-2.39
O  0.4905  0.0616  0.7178  1 Ni 2.18, 2 Nd 2.32-2.39
O  0.0150  0.5826  0.5684  2 Ni 1.95-2.03
O  0.5095  0.9384  0.2822  1 Ni 2.18, 2 Nd 2.32-2.39
O  0.5149  0.5615  0.7824  1 Ni 2.18, 2 Nd 2.32-2.39
O  0.7584  0.7624  0.6519  2 Ni 1.95
O  0.2272  0.2605  0.1313  2 Ni 1.97
O  0.5150  0.9174  0.5684  2 Ni 1.95-2.03
O  0.2039  0.2866  0.0127  2 Ni 1.96-2.03
O  0.7927  0.7879  0.4873  2 Ni 1.98-2.01
O  0.9888  0.0827  0.9317  2 Ni 1.95-2.04
O  0.0149  0.9385  0.7824  1 Ni 2.18, 2 Nd 2.32-2.39
O  0.7728  0.7395  0.8687  2 Ni 1.97
O  0.2961  0.7866  0.9873  2 Ni 1.96-2.03
O  0.7961  0.7134  0.9873  2 Ni 1.96-2.03
O  0.2416  0.2376  0.3481  2 Ni 1.95
O  0.7512  0.2412  0.8482  2 Ni 1.95
O  0.9850  0.4174  0.4316  2 Ni 1.95-2.03
O  0.7272  0.2395  0.1313  2 Ni 1.97
O  0.7303  0.2635  0.6312  2 Ni 1.97-1.98
O  0.2584  0.7376  0.6519  2 Ni 1.95
O  0.2697  0.7365  0.3688  2 Ni 1.97-1.98
O  0.0095  0.5616  0.2822  1 Ni 2.18, 2 Nd 2.32-2.39
O  0.9851  0.0615  0.2176  1 Ni 2.18, 2 Nd 2.32-2.39
O  0.7039  0.2134  0.0127  2 Ni 1.96-2.03
O  0.0112  0.9173  0.0683  2 Ni 1.95-2.04
O  0.5112  0.5827  0.0683  2 Ni 1.95-2.04
O  0.2073  0.2121  0.5127  2 Ni 1.98-2.01
O  0.7073  0.2879  0.5127  2 Ni 1.98-2.01
Ni  0.4886  0.5043  0.1400  6 O 1.95-2.18
Ni  0.0114  0.0043  0.8600  6 O 1.95-2.18
Ni  0.0000  0.5000  0.5000  6 O 1.95-2.01
Ni  0.5052  0.0043  0.3599  6 O 1.95-2.18
Ni  0.0052  0.4957  0.3599  6 O 1.95-2.18
Ni  0.5000  0.5000  0.0000  6 O 1.95-2.03
Ni  0.5114  0.4957  0.8600  6 O 1.95-2.18
Ni  0.4948  0.9957  0.6401  6 O 1.95-2.18
Ni  0.5000  0.0000  0.5000  6 O 1.95-2.01
Ni  0.0000  0.0000  0.0000  6 O 1.95-2.03
Ni  0.9886  0.9957  0.1400  6 O 1.95-2.18
Ni  0.9948  0.5043  0.6401  6 O 1.95-2.18

---

The following is a DFT calculation (GGA+U) of a relaxed Li4Ti3Nb2Cr3O16 crystal.

SG	Cm
total energy	-7.909	eV/atom
energy of formation	-2.8140	eV per atom

Cell lengths 5.9975, 5.9975, 9.7449 Å; angles 89.44, 89.44, 59.82 degrees
With the nearest neighbours (Å) after each atom.
Fractional positions:
Li  0.6646  0.6646  0.1022  4 O 2.00-2.05
Li  0.9984  0.9984  0.5051  4 O 1.81-1.98
Li  0.9998  0.9998  0.0079  4 O 1.80-2.00
Li  0.3329  0.3329  0.5980  4 O 2.00-2.03
O  0.0036  0.0036  0.1930  1 Li 1.80, 1 Ti 1.94, 2 Cr 2.00
O  0.0013  0.0013  0.6910  1 Li 1.81, 2 Ti 1.98, 1 Cr 1.99
O  0.1713  0.6705  0.9059  1 Li 1.98, 1 Nb 1.99, 1 Cr 2.10, 1 Ti 2.11
O  0.3296  0.8383  0.4028  1 Li 1.98, 1 Nb 2.03, 1 Cr 2.09, 1 Ti 2.10
O  0.9616  0.5140  0.6624  1 Ti 1.93, 1 Li 2.02, 1 Cr 2.07, 1 Nb 2.16
O  0.5140  0.9616  0.6624  1 Ti 1.93, 1 Li 2.02, 1 Cr 2.07, 1 Nb 2.16
O  0.1644  0.1644  0.8997  1 Li 2.00, 2 Ti 2.07, 1 Nb 2.11
O  0.4796  0.4796  0.1597  1 Li 2.00, 2 Cr 2.03, 1 Nb 2.09
O  0.3263  0.3263  0.3926  1 Ti 1.97, 1 Li 2.00, 2 Cr 2.01
O  0.6705  0.1713  0.9059  1 Li 1.98, 1 Nb 1.99, 1 Cr 2.10, 1 Ti 2.11
O  0.6620  0.6620  0.8923  2 Ti 1.99, 1 Cr 2.02, 1 Li 2.05
O  0.4760  0.0375  0.1605  1 Ti 1.96, 1 Li 2.02, 1 Cr 2.08, 1 Nb 2.14
O  0.0375  0.4760  0.1605  1 Ti 1.96, 1 Li 2.02, 1 Cr 2.08, 1 Nb 2.14
O  0.8383  0.3296  0.4028  1 Li 1.98, 1 Nb 2.03, 1 Cr 2.09, 1 Ti 2.10
O  0.5182  0.5182  0.6603  1 Li 2.03, 2 Ti 2.03, 1 Nb 2.13
O  0.8328  0.8328  0.4061  1 Nb 1.98, 1 Li 1.98, 2 Cr 2.09
Ti  0.1710  0.1710  0.2790  6 O 1.94-2.10
Ti  0.8353  0.3417  0.7812  6 O 1.93-2.11
Ti  0.3417  0.8353  0.7812  6 O 1.93-2.11
Nb  0.6666  0.6666  0.5070  6 O 1.98-2.16
Nb  0.3383  0.3383  0.0093  6 O 1.99-2.14
Cr  0.1704  0.6610  0.2873  6 O 2.00-2.09
Cr  0.6610  0.1704  0.2873  6 O 2.00-2.09
Cr  0.8320  0.8320  0.7891  6 O 1.99-2.10

---

The following is a DFT calculation (GGA+U) of a relaxed Li3MnB4O9 crystal.

SG	P2_1/m
total energy	-7.194	eV/atom
energy of formation	-2.5888	eV per atom

Cell lengths 8.7456, 5.8179, 6.6980 Å; angles 77.51, 90.00, 90.00 degrees
With the nearest neighbours (Å) after each atom.
Fractional positions:
Li  0.9352  0.2393  0.8389  3 O 1.97-2.10
Li  0.2500  0.4214  0.4970  3 O 1.97-2.13
Li  0.5648  0.2393  0.8389  3 O 1.97-2.10
Li  0.4352  0.7607  0.1611  3 O 1.97-2.10
Li  0.7500  0.5786  0.5030  3 O 1.97-2.13
Li  0.0648  0.7607  0.1611  3 O 1.97-2.10
O  0.9192  0.5856  0.7811  1 B 1.38
O  0.8862  0.2870  0.4660  2 B 1.38-1.51
O  0.2500  0.0747  0.5501  2 B 1.45-1.46
O  0.3862  0.7130  0.5340  2 B 1.38-1.51
O  0.6138  0.2870  0.4660  2 B 1.38-1.51
O  0.7500  0.0806  0.7603  1 B 1.46
O  0.6079  0.1392  0.1550  2 B 1.40-1.52
O  0.4192  0.4144  0.2189  1 B 1.38
O  0.8921  0.1392  0.1550  2 B 1.40-1.52
O  0.7500  0.9253  0.4499  2 B 1.45-1.46
O  0.3921  0.8608  0.8450  2 B 1.40-1.52
O  0.5808  0.5856  0.7811  1 B 1.38
O  0.0808  0.4144  0.2189  1 B 1.38
O  0.1079  0.8608  0.8450  2 B 1.40-1.52
O  0.2500  0.9194  0.2397  1 B 1.46
O  0.1138  0.7130  0.5340  2 B 1.38-1.51
O  0.7500  0.7778  0.1510  1 B 1.45
O  0.2500  0.2222  0.8490  1 B 1.45
B  0.5471  0.2805  0.2806  3 O 1.38-1.40
B  0.0471  0.7195  0.7194  3 O 1.38-1.40
B  0.2500  0.0071  0.7727  4 O 1.45-1.52
B  0.7500  0.9929  0.2273  4 O 1.45-1.52
B  0.9529  0.2805  0.2806  3 O 1.38-1.40
B  0.2500  0.8674  0.4634  4 O 1.45-1.51
B  0.7500  0.1326  0.5366  4 O 1.45-1.51
B  0.4529  0.7195  0.7194  3 O 1.38-1.40
Mn  0.7500  0.7553  0.8818  4 O 1.84-1.98
Mn  0.2500  0.2447  0.1182  4 O 1.84-1.98

---

The following is a DFT calculation (GGA+U) of a relaxed CrO2 crystal.

SG	R3m
total energy	-7.249	eV/atom
energy of formation	-1.8570	eV per atom

Cell lengths 5.7938, 5.7938, 5.7938 Å; angles 61.07, 61.07, 61.07 degrees
With the nearest neighbours (Å) after each atom.
Fractional positions:
O  0.3659  0.3659  0.8650  1 Cr 1.82
O  0.3659  0.8650  0.3659  1 Cr 1.82
O  0.4186  0.8756  0.8756  2 Cr 1.84
O  0.3788  0.3788  0.3788  4 Cr 1.88-2.09
O  0.8756  0.8756  0.4186  2 Cr 1.84
O  0.8756  0.4186  0.8756  2 Cr 1.84
O  0.8650  0.3659  0.3659  1 Cr 1.82
O  0.8650  0.8650  0.8650  3 Cr 1.93
Cr  0.2450  0.2450  0.2450  4 O 1.82-1.88
Cr  0.6310  0.1054  0.6310  5 O 1.84-2.05
Cr  0.6310  0.6310  0.1054  5 O 1.84-2.05
Cr  0.1054  0.6310  0.6310  5 O 1.84-2.05

---

The following is a DFT calculation (GGA+U) of a relaxed MnSO4 crystal.

SG	Cmcm
total energy	-6.824	eV/atom
energy of formation	-2.0445	eV per atom

Cell lengths 4.8903, 4.8903, 6.9436 Å; angles 90.00, 90.00, 65.95 degrees
With the nearest neighbours (Å) after each atom.
Fractional positions:
O  0.7715  0.3109  0.7500  1 S 1.51
O  0.2526  0.2526  0.4272  1 S 1.47
O  0.6891  0.2285  0.2500  1 S 1.51
O  0.2285  0.6891  0.2500  1 S 1.51
O  0.3109  0.7715  0.7500  1 S 1.51
O  0.7474  0.7474  0.5728  1 S 1.47
O  0.7474  0.7474  0.9272  1 S 1.47
O  0.2526  0.2526  0.0728  1 S 1.47
Mn  0.0000  0.0000  0.5000  6 O 2.13-2.28
Mn  0.0000  0.0000  0.0000  6 O 2.13-2.28
S  0.3509  0.3509  0.2500  4 O 1.47-1.51
S  0.6491  0.6491  0.7500  4 O 1.47-1.51

---

The following is a DFT calculation (GGA+U) of a relaxed Sr4Ca4FeCo7O20 crystal.

SG	P1
total energy	-6.185	eV/atom
energy of formation	-2.1712	eV per atom

Cell lengths 10.7665, 11.1869, 17.4331 Å; angles 108.86, 108.21, 89.46 degrees
With the nearest neighbours (Å) after each atom.
Fractional positions:
O  0.3779  0.3758  0.5057  2 Co 1.93-1.99
O  0.9490  0.9011  0.8617  1 Co 1.84
O  0.4260  0.5692  0.2471  2 Co 1.94-1.97
O  0.9418  0.4030  0.8622  1 Co 1.82
O  0.1319  0.3744  0.5058  2 Co 1.92-1.98
O  0.4253  0.0628  0.7441  1 Fe 1.93, 1 Co 1.98
O  0.8322  0.3056  0.6476  1 Co 1.80
O  0.3826  0.1116  0.9933  1 Co 1.83
O  0.8465  0.2888  0.1432  1 Co 1.85
O  0.1922  0.2073  0.8599  1 Co 1.83
O  0.5868  0.6070  0.1402  1 Co 1.83
O  0.6332  0.8670  0.5004  2 Co 1.85-2.02
O  0.3864  0.8803  0.0164  2 Co 1.92-1.97
O  0.6283  0.6331  0.9903  1 Co 1.84
O  0.1288  0.3894  0.0177  2 Co 1.84-2.06
O  0.6853  0.2103  0.8571  1 Co 1.83
O  0.3377  0.2903  0.6471  1 Fe 1.87
O  0.9257  0.0562  0.2389  2 Co 1.94-1.95
O  0.2036  0.7144  0.8612  1 Fe 1.88
O  0.4368  0.8999  0.3559  1 Co 1.82
O  0.6243  0.1227  0.4912  2 Co 1.94-1.97
O  0.3813  0.6167  0.9946  2 Co 1.84-2.03
O  0.6784  0.9284  0.2388  2 Co 1.93-1.96
O  0.1932  0.7049  0.3527  1 Co 1.80
O  0.6950  0.6979  0.3526  1 Co 1.81
O  0.8757  0.1182  0.4920  2 Co 1.93-1.96
O  0.6777  0.4340  0.7594  1 Fe 1.92, 1 Co 1.98
O  0.8691  0.6276  0.4890  2 Co 1.83-2.02
O  0.1273  0.1160  0.4891  2 Co 1.94
O  0.5898  0.1056  0.1409  1 Co 1.83
O  0.1837  0.4393  0.7524  2 Fe 1.93-1.94
O  0.0957  0.1001  0.1404  1 Co 1.84
O  0.9396  0.9005  0.3529  1 Co 1.81
O  0.9266  0.5699  0.2482  2 Co 1.94-1.97
O  0.1356  0.1290  0.9946  1 Co 1.84
O  0.3365  0.7861  0.1423  1 Co 1.82
O  0.1825  0.1986  0.3503  1 Co 1.79
O  0.1743  0.4334  0.2396  2 Co 1.94-1.95
O  0.3777  0.6168  0.4891  2 Co 1.88-1.99
O  0.6842  0.1945  0.3530  1 Co 1.80
O  0.4515  0.4075  0.8659  1 Fe 1.89
O  0.6333  0.3929  0.0174  2 Co 1.85-2.03
O  0.3798  0.8763  0.5036  2 Co 1.93-1.96
O  0.3795  0.3778  0.0160  1 Co 1.85
O  0.6342  0.8906  0.0163  2 Co 1.84-2.04
O  0.8752  0.6072  0.9914  2 Co 1.82-2.04
O  0.0760  0.5948  0.6406  1 Fe 1.88
O  0.6262  0.3813  0.5026  2 Co 1.87-2.00
O  0.8785  0.3761  0.0148  1 Co 1.82
O  0.3295  0.7941  0.6412  1 Fe 1.87
O  0.1838  0.9347  0.7607  1 Fe 1.94, 1 Co 1.95
O  0.1219  0.6311  0.9929  2 Co 1.92-2.00
O  0.1752  0.9269  0.2478  2 Co 1.93-1.96
O  0.7080  0.7101  0.8627  1 Fe 1.88
O  0.8850  0.1136  0.9977  1 Co 1.85
O  0.6353  0.1362  0.9984  1 Co 1.83
O  0.8827  0.8759  0.5025  2 Co 1.95-1.96
O  0.1332  0.8788  0.5026  2 Co 1.91-1.93
O  0.5798  0.0875  0.6389  1 Co 1.81
O  0.4331  0.5747  0.7598  2 Fe 1.94-1.96
O  0.3681  0.1144  0.4875  2 Co 1.92-1.94
O  0.0857  0.6057  0.1404  1 Co 1.84
O  0.4491  0.9008  0.8625  1 Fe 1.91
O  0.8857  0.8732  0.0166  2 Co 1.86-2.06
O  0.6880  0.9430  0.7530  2 Co 1.94-1.96
O  0.5815  0.5907  0.6418  1 Fe 1.90
O  0.6200  0.6232  0.4849  2 Co 1.93-2.00
O  0.8773  0.3780  0.5042  2 Co 1.93-1.98
O  0.1203  0.6246  0.4859  2 Co 1.93-2.00
O  0.4261  0.0543  0.2404  2 Co 1.95-1.96
O  0.9333  0.5731  0.7613  1 Fe 1.95, 1 Co 1.97
O  0.8422  0.7826  0.1399  1 Co 1.83
O  0.4332  0.4056  0.3534  1 Co 1.80
O  0.9362  0.0619  0.7509  2 Co 1.93-1.94
O  0.1331  0.8869  0.0124  2 Co 1.83-1.99
O  0.3423  0.2875  0.1422  1 Co 1.84
O  0.6741  0.4307  0.2378  2 Co 1.94-1.95
O  0.8326  0.7988  0.6436  1 Co 1.81
O  0.0914  0.0866  0.6439  1 Co 1.81
O  0.9325  0.4061  0.3535  1 Co 1.80
Co  0.8573  0.4099  0.2469  4 O 1.80-1.95
Co  0.8656  0.9050  0.7527  4 O 1.81-1.96
Co  0.1068  0.5964  0.2470  4 O 1.80-1.97
Co  0.2559  0.7529  0.0039  4 O 1.92-2.03
Co  0.6058  0.5936  0.2450  4 O 1.81-1.97
Co  0.7521  0.2485  0.4963  4 O 1.93-2.00
Co  0.3556  0.9003  0.2476  4 O 1.82-1.96
Co  0.1141  0.0929  0.7525  4 O 1.81-1.95
Co  0.0049  0.9978  0.4964  4 O 1.91-1.95
Co  0.8601  0.9000  0.2447  4 O 1.81-1.96
Co  0.0023  0.5003  0.4981  4 O 1.98-2.02
Co  0.2585  0.2537  0.0074  3 O 1.84-2.06
Co  0.2529  0.2469  0.4982  4 O 1.92-1.94
Co  0.5062  0.5042  0.0036  2 O 1.84-1.85
Co  0.2534  0.7498  0.4982  4 O 1.93-1.99
Co  0.7573  0.7509  0.0028  4 O 1.84-2.04
Co  0.7515  0.7465  0.4929  4 O 1.83-1.96
Co  0.1072  0.0865  0.2450  4 O 1.79-1.95
Co  0.7604  0.2573  0.0118  3 O 1.82-2.03
Co  0.0068  0.5047  0.0063  3 O 1.82-2.00
Co  0.8580  0.4095  0.7556  4 O 1.80-1.98
Co  0.5022  0.9974  0.4963  4 O 1.94-2.02
Co  0.3564  0.4090  0.2462  4 O 1.80-1.95
Co  0.6067  0.0888  0.2448  4 O 1.80-1.96
Co  0.5067  0.0002  0.0053  3 O 1.83-1.97
Co  0.5025  0.4996  0.4990  4 O 1.87-2.00
Co  0.0114  0.0015  0.0074  2 O 1.83-1.85
Co  0.6076  0.0973  0.7486  4 O 1.81-1.98
Fe  0.1074  0.5967  0.7535  4 O 1.88-1.95
Fe  0.3632  0.4123  0.7549  4 O 1.87-1.94
Fe  0.6109  0.5923  0.7552  4 O 1.88-1.96
Fe  0.3578  0.9094  0.7518  4 O 1.87-1.94
Sr  0.6938  0.4359  0.3839  7 O 2.47-2.69
Sr  0.4478  0.2030  0.8890  6 O 2.44-2.73
Sr  0.9451  0.2002  0.8897  4 O 2.39-2.62
Sr  0.3049  0.5619  0.6093  7 O 2.47-2.71
Sr  0.4418  0.1982  0.3851  7 O 2.47-2.68
Sr  0.1940  0.4390  0.8927  6 O 2.41-2.70
Sr  0.6990  0.9381  0.8909  5 O 2.39-2.64
Sr  0.8083  0.0604  0.6089  7 O 2.42-2.67
Sr  0.1931  0.4356  0.3851  7 O 2.47-2.69
Sr  0.0595  0.8018  0.6104  7 O 2.49-2.68
Sr  0.8083  0.5627  0.6113  8 O 2.50-2.77
Sr  0.9476  0.1983  0.3857  7 O 2.48-2.71
Sr  0.5572  0.7993  0.6111  7 O 2.45-2.70
Sr  0.5555  0.2956  0.6097  7 O 2.49-2.70
Sr  0.0589  0.2931  0.6084  7 O 2.46-2.72
Sr  0.6967  0.9363  0.3844  7 O 2.46-2.70
Ca  0.5505  0.7946  0.1093  3 O 2.27-2.42
Ca  0.3062  0.0631  0.6037  7 O 2.38-2.61
Ca  0.0561  0.2908  0.1115  4 O 2.26-2.53
Ca  0.4434  0.7053  0.3891  7 O 2.40-2.57
Ca  0.9492  0.7091  0.3895  7 O 2.39-2.60
Ca  0.1986  0.9328  0.8942  3 O 2.29-2.56
Ca  0.5514  0.2924  0.1099  4 O 2.25-2.49
Ca  0.3079  0.0659  0.1104  5 O 2.27-2.52
Ca  0.6966  0.4333  0.8944  4 O 2.30-2.53
Ca  0.0564  0.7931  0.1122  5 O 2.30-2.56
Ca  0.4424  0.7138  0.8943  6 O 2.33-2.58
Ca  0.9463  0.7094  0.8950  5 O 2.30-2.57
Ca  0.1990  0.9332  0.3904  7 O 2.40-2.66
Ca  0.3028  0.5707  0.1124  4 O 2.30-2.53
Ca  0.8043  0.5697  0.1130  4 O 2.29-2.54
Ca  0.8033  0.0675  0.1110  4 O 2.25-2.51